Record 1
# TbTiGe

A relaxed TbTiGe crystal (r²SCAN, the Materials Project database).

* energy of formation from the pure elements: -2.4 eV/f.u.
* SG: P4/nmm, No. 129

a b c (Å): 4.041 4.041 7.765
angles (deg): 90.00 90.00 90.00
Atoms (fractional coordinates):
Tb  0.250  0.250  0.152
Tb  0.750  0.750  0.848
Ti  0.250  0.750  0.500
Ti  0.750  0.250  0.500
Ge  0.250  0.250  0.740
Ge  0.750  0.750  0.260


Record 2
# Tc3Ge

A relaxed Tc3Ge crystal (r²SCAN, the Materials Project database).

* energy of formation from the pure elements: 0.1 eV/f.u.
* SG: Fm-3m, No. 225

a b c (Å): 4.323 4.323 4.323
angles (deg): 60.00 60.00 60.00
Atoms (fractional coordinates):
Tc  0.000  0.000  0.000
Tc  0.250  0.250  0.250
Tc  0.750  0.750  0.750
Ge  0.500  0.500  0.500


Record 3
# GeTe

A relaxed GeTe crystal (r²SCAN, the Materials Project database).

* energy of formation from the pure elements: 0.0 eV/f.u.
* SG: Pnma, No. 62

a b c (Å): 12.057 4.108 4.819
angles (deg): 90.00 90.00 90.00
Atoms (fractional coordinates):
Ge  0.132  0.250  0.113
Ge  0.368  0.750  0.613
Ge  0.632  0.250  0.387
Ge  0.868  0.750  0.887
Te  0.145  0.750  0.498
Te  0.355  0.250  0.998
Te  0.645  0.750  0.002
Te  0.855  0.250  0.502


Record 4
# GeTe

A relaxed GeTe crystal (r²SCAN, the Materials Project database).

* energy of formation from the pure elements: -0.1 eV/f.u.
* SG: R3m, No. 160

a b c (Å): 4.403 4.403 4.403
angles (deg): 56.81 56.81 56.81
Atoms (fractional coordinates):
Ge  0.000  0.000  0.000
Te  0.537  0.537  0.537